# 1
DFT (GGA+U) results for crystalline V2ZnCuO7 at its relaxed geometry.

a = 8.3292 Å, b = 10.1974 Å, c = 10.8517 Å
α = 86.29°, β = 90.00°, γ = 90.00°
Positions (direct):
1 V 0.2222 0.2826 0.8406
2 V 0.7372 0.3804 0.8306
3 V 0.2628 0.8804 0.8306
4 V 0.7778 0.7826 0.8406
5 V 0.2795 0.9558 0.5264
6 V 0.7372 0.1196 0.1694
7 V 0.7205 0.4558 0.5264
8 V 0.2628 0.6196 0.1694
9 V 0.2795 0.5442 0.4736
10 V 0.7205 0.0442 0.4736
11 V 0.7778 0.7174 0.1594
12 V 0.2222 0.2174 0.1594
13 Zn 0.4307 0.5749 0.8733
14 Zn 0.9328 0.7500 0.5000
15 Zn 0.4307 0.9251 0.1267
16 Zn 0.0672 0.2500 0.5000
17 Zn 0.5693 0.4251 0.1267
18 Zn 0.5693 0.0749 0.8733
19 Cu 0.9269 0.4139 0.1959
20 Cu 0.0731 0.5861 0.8041
21 Cu 0.4320 0.2500 0.5000
22 Cu 0.9269 0.0861 0.8041
23 Cu 0.5680 0.7500 0.5000
24 Cu 0.0731 0.9139 0.1959
25 O 0.7492 0.9559 0.8128
26 O 0.7584 0.2918 0.1647
27 O 0.8358 0.7500 0.0000
28 O 0.9011 0.1139 0.4906
29 O 0.4018 0.5730 0.0613
30 O 0.9217 0.7197 0.7448
31 O 0.3441 0.9335 0.6853
32 O 0.0989 0.6139 0.4906
33 O 0.7422 0.8732 0.5130
34 O 0.4018 0.9270 0.9387
35 O 0.7422 0.6268 0.4870
36 O 0.4196 0.8810 0.4392
37 O 0.9160 0.0433 0.1518
38 O 0.0783 0.2197 0.7448
39 O 0.6559 0.0665 0.3147
40 O 0.3441 0.5665 0.3147
41 O 0.9217 0.7803 0.2552
42 O 0.5982 0.4270 0.9387
43 O 0.2508 0.4559 0.8128
44 O 0.5804 0.1190 0.5608
45 O 0.3979 0.2964 0.1796
46 O 0.2578 0.1268 0.4870
47 O 0.0840 0.5433 0.1518
48 O 0.2578 0.3732 0.5130
49 O 0.9011 0.3861 0.5094
50 O 0.5804 0.3810 0.4392
51 O 0.0989 0.8861 0.5094
52 O 0.6021 0.7964 0.1796
53 O 0.6021 0.7036 0.8204
54 O 0.0840 0.9567 0.8482
55 O 0.0783 0.2803 0.2552
56 O 0.7492 0.5441 0.1872
57 O 0.1642 0.2500 0.0000
58 O 0.2416 0.7918 0.1647
59 O 0.5982 0.0730 0.0613
60 O 0.9160 0.4567 0.8482
61 O 0.2508 0.0441 0.1872
62 O 0.7584 0.2082 0.8353
63 O 0.4196 0.6190 0.5608
64 O 0.6559 0.4335 0.6853
65 O 0.2416 0.7082 0.8353
66 O 0.3979 0.2036 0.8204

Summary:
For the formation enthalpy at 0 K, the calculation gives -190 kJ/mol of atoms. For the magnetization, the calculation gives 1.00 μB/f.u. Its space group is No. 13.

***

# 2
DFT (GGA+U) results for crystalline Ni5P4O16F2 at its relaxed geometry.

a = 10.0819 Å, b = 10.0819 Å, c = 9.8465 Å
α = 90.00°, β = 90.00°, γ = 130.32°
Positions (direct):
1 Ni 0.0323 0.3765 0.0644
2 Ni 0.3765 0.0323 0.9356
3 Ni 0.8765 0.5323 0.5644
4 Ni 0.5323 0.8765 0.4356
5 Ni 0.9952 0.9952 0.0000
6 Ni 0.4952 0.4952 0.5000
7 Ni 0.1495 0.5227 0.4209
8 Ni 0.5227 0.1495 0.5791
9 Ni 0.0227 0.6495 0.9209
10 Ni 0.6495 0.0227 0.0791
11 P 0.2240 0.2835 0.2508
12 P 0.2835 0.2240 0.7492
13 P 0.7835 0.7240 0.7508
14 P 0.7240 0.7835 0.2492
15 P 0.8070 0.2558 0.3510
16 P 0.2558 0.8070 0.6490
17 P 0.7558 0.3070 0.8510
18 P 0.3070 0.7558 0.1490
19 O 0.9710 0.7535 0.4800
20 O 0.7535 0.9710 0.5200
21 O 0.2535 0.4710 0.9800
22 O 0.4710 0.2535 0.0200
23 O 0.7255 0.4227 0.9271
24 O 0.4227 0.7255 0.0729
25 O 0.9227 0.2255 0.4271
26 O 0.2255 0.9227 0.5729
27 O 0.8083 0.2406 0.1936
28 O 0.2406 0.8083 0.8064
29 O 0.7406 0.3083 0.6936
30 O 0.3083 0.7406 0.3064
31 O 0.6642 0.6474 0.3509
32 O 0.6474 0.6642 0.6491
33 O 0.1474 0.1642 0.8509
34 O 0.1642 0.1474 0.1491
35 O 0.8386 0.8107 0.1385
36 O 0.8107 0.8386 0.8615
37 O 0.3107 0.3386 0.6385
38 O 0.3386 0.3107 0.3615
39 O 0.1723 0.3936 0.2410
40 O 0.3936 0.1723 0.7590
41 O 0.8936 0.6723 0.7410
42 O 0.6723 0.8936 0.2590
43 O 0.1168 0.6253 0.0960
44 O 0.6253 0.1168 0.9040
45 O 0.1253 0.6168 0.5960
46 O 0.6168 0.1253 0.4040
47 O 0.9023 0.4496 0.3853
48 O 0.4496 0.9023 0.6147
49 O 0.9496 0.4023 0.8853
50 O 0.4023 0.9496 0.1147
51 F 0.8885 0.1102 0.0209
52 F 0.1102 0.8885 0.9791
53 F 0.6102 0.3885 0.5209
54 F 0.3885 0.6102 0.4791

Summary:
For the formation enthalpy at 0 K, the calculation gives -174 kJ/mol of atoms. For the magnetization, the calculation gives 14.00 μB/f.u. Its space group is No. 41.

***

# 3
DFT (GGA+U) results for crystalline MgFe2Co4O8 at its relaxed geometry.

a = 5.8196 Å, b = 5.8579 Å, c = 6.1896 Å
α = 62.59°, β = 89.34°, γ = 119.70°
Positions (direct):
1 Mg 0.0000 0.0000 0.5000
2 Fe 0.5000 0.0000 0.0000
3 Fe 0.5000 0.5000 0.5000
4 Co 0.5000 0.0000 0.5000
5 Co 0.1882 0.3267 0.0366
6 Co 0.8118 0.6733 0.9634
7 Co 0.0000 0.5000 0.5000
8 O 0.7146 0.4414 0.3212
9 O 0.7327 0.9985 0.7355
10 O 0.7378 0.5121 0.7303
11 O 0.2615 0.0165 0.7239
12 O 0.7385 0.9835 0.2761
13 O 0.2622 0.4879 0.2697
14 O 0.2673 0.0015 0.2645
15 O 0.2854 0.5586 0.6788

Summary:
For the formation enthalpy at 0 K, the calculation gives -133 kJ/mol of atoms. For the magnetization, the calculation gives 2.00 μB/f.u. Its space group is No. 2.

***

# 4
DFT (GGA+U) results for crystalline LiLaMn4O12 at its relaxed geometry.

a = 5.2885 Å, b = 5.2885 Å, c = 7.5761 Å
α = 90.00°, β = 90.00°, γ = 89.85°
Positions (direct):
1 Li 0.0120 0.0120 0.0000
2 La 0.4896 0.4896 0.5000
3 Mn 0.5016 0.9973 0.7641
4 Mn 0.5016 0.9973 0.2359
5 Mn 0.9973 0.5016 0.2359
6 Mn 0.9973 0.5016 0.7641
7 O 0.7152 0.2863 0.7475
8 O 0.2863 0.7152 0.7475
9 O 0.2863 0.7152 0.2525
10 O 0.7152 0.2863 0.2525
11 O 0.7944 0.7944 0.8055
12 O 0.2331 0.2331 0.7111
13 O 0.2331 0.2331 0.2889
14 O 0.7944 0.7944 0.1945
15 O 0.4087 0.0249 0.0000
16 O 0.5353 0.9720 0.5000
17 O 0.0249 0.4087 0.0000
18 O 0.9720 0.5353 0.5000

Summary:
For the formation enthalpy at 0 K, the calculation gives -162 kJ/mol of atoms. For the magnetization, the calculation gives 16.00 μB/f.u. Its space group is No. 38.

***

# 5
DFT (GGA+U) results for crystalline KFeCuP2O8 at its relaxed geometry.

a = 10.0562 Å, b = 8.1005 Å, c = 9.2071 Å
α = 63.56°, β = 90.00°, γ = 90.00°
Positions (direct):
1 K 0.3657 0.6575 0.4252
2 K 0.1343 0.6575 0.9252
3 K 0.6343 0.3425 0.5748
4 K 0.8657 0.3425 0.0748
5 Fe 0.6256 0.7285 0.7569
6 Fe 0.8744 0.7285 0.2569
7 Fe 0.3744 0.2715 0.2431
8 Fe 0.1256 0.2715 0.7431
9 Cu 0.6204 0.0795 0.0526
10 Cu 0.8796 0.0795 0.5526
11 Cu 0.3796 0.9205 0.9474
12 Cu 0.1204 0.9205 0.4474
13 P 0.6597 0.0125 0.3591
14 P 0.8403 0.0125 0.8591
15 P 0.3403 0.9875 0.6409
16 P 0.1597 0.9875 0.1409
17 P 0.4125 0.3805 0.8517
18 P 0.0875 0.3805 0.3517
19 P 0.5875 0.6195 0.1483
20 P 0.9125 0.6195 0.6483
21 O 0.7642 0.1568 0.8929
22 O 0.7358 0.1568 0.3929
23 O 0.2358 0.8432 0.1071
24 O 0.2642 0.8432 0.6071
25 O 0.7467 0.9569 0.2442
26 O 0.7533 0.9569 0.7442
27 O 0.2533 0.0431 0.7558
28 O 0.2467 0.0431 0.2558
29 O 0.5380 0.1086 0.2439
30 O 0.9620 0.1086 0.7439
31 O 0.4620 0.8914 0.7561
32 O 0.0380 0.8914 0.2561
33 O 0.6142 0.8449 0.5117
34 O 0.8858 0.8449 0.0117
35 O 0.3858 0.1551 0.4883
36 O 0.1142 0.1551 0.9883
37 O 0.3684 0.3991 0.0039
38 O 0.1316 0.3991 0.5039
39 O 0.6316 0.6009 0.9961
40 O 0.8684 0.6009 0.4961
41 O 0.2923 0.4016 0.7403
42 O 0.2077 0.4016 0.2403
43 O 0.7077 0.5984 0.2597
44 O 0.7923 0.5984 0.7597
45 O 0.5132 0.5308 0.7469
46 O 0.9868 0.5308 0.2469
47 O 0.4868 0.4692 0.2531
48 O 0.0132 0.4692 0.7531
49 O 0.4768 0.1874 0.8978
50 O 0.0232 0.1874 0.3978
51 O 0.5232 0.8126 0.1022
52 O 0.9768 0.8126 0.6022

Summary:
For the formation enthalpy at 0 K, the calculation gives -221 kJ/mol of atoms. For the magnetization, the calculation gives 6.00 μB/f.u. Its space group is No. 14.

***

# 6
DFT (GGA+U) results for crystalline VCrO3 at its relaxed geometry.

a = 5.1181 Å, b = 5.5059 Å, c = 9.0697 Å
α = 85.11°, β = 73.71°, γ = 117.77°
Positions (direct):
1 V 0.1470 0.8731 0.5745
2 V 0.1515 0.3707 0.0753
3 V 0.3549 0.8773 0.1736
4 V 0.8507 0.1281 0.4264
5 Cr 0.3468 0.3709 0.6755
6 Cr 0.6534 0.6295 0.3246
7 Cr 0.6502 0.1274 0.8261
8 Cr 0.8507 0.6237 0.9243
9 O 0.0515 0.5244 0.7234
10 O 0.0515 0.0257 0.2239
11 O 0.4471 0.8744 0.3738
12 O 0.5579 0.6248 0.1243
13 O 0.2489 0.7733 0.9739
14 O 0.2512 0.2803 0.4731
15 O 0.7469 0.7214 0.5272
16 O 0.7488 0.2248 0.0254
17 O 0.4475 0.3745 0.8748
18 O 0.5509 0.1260 0.6268
19 O 0.9460 0.9745 0.7761
20 O 0.9465 0.4751 0.2771

Summary:
For the formation enthalpy at 0 K, the calculation gives -235 kJ/mol of atoms. Its space group is No. 1.

***

# 7
DFT (GGA+U) results for crystalline K2Cr2O7 at its relaxed geometry.

a = 8.6969 Å, b = 8.6969 Å, c = 8.1409 Å
α = 86.34°, β = 86.34°, γ = 45.44°
Positions (direct):
1 K 0.3540 0.3540 0.7603
2 K 0.6316 0.6316 0.7139
3 K 0.3684 0.3684 0.2861
4 K 0.6460 0.6460 0.2397
5 Cr 0.8640 0.8640 0.4343
6 Cr 0.1360 0.1360 0.5657
7 Cr 0.8707 0.8707 0.0022
8 Cr 0.1293 0.1293 0.9978
9 O 0.3006 0.8952 0.4882
10 O 0.6994 0.1048 0.5118
11 O 0.8952 0.3006 0.4882
12 O 0.2856 0.8855 0.0776
13 O 0.1132 0.1132 0.7819
14 O 0.2383 0.2383 0.5333
15 O 0.7144 0.1145 0.9224
16 O 0.8868 0.8868 0.2181
17 O 0.8855 0.2856 0.0776
18 O 0.7617 0.7617 0.4667
19 O 0.7701 0.7701 0.9740
20 O 0.1048 0.6994 0.5118
21 O 0.1145 0.7144 0.9224
22 O 0.2299 0.2299 0.0260

Summary:
For the formation enthalpy at 0 K, the calculation gives -180 kJ/mol of atoms. For the magnetization, the calculation gives 0.00 μB/f.u. Its space group is No. 12.

***

# 8
DFT (GGA+U) results for crystalline VO3 at its relaxed geometry.

a = 6.1560 Å, b = 6.1560 Å, c = 12.4779 Å
α = 86.44°, β = 86.44°, γ = 34.63°
Positions (direct):
1 V 0.0756 0.0756 0.8630
2 V 0.9244 0.9244 0.1370
3 V 0.7836 0.7836 0.8614
4 V 0.2164 0.2164 0.1386
5 O 0.6121 0.6121 0.8914
6 O 0.3879 0.3879 0.1086
7 O 0.9262 0.9262 0.9128
8 O 0.0738 0.0738 0.0872
9 O 0.2458 0.2458 0.8959
10 O 0.7542 0.7542 0.1041
11 O 0.0739 0.0739 0.7350
12 O 0.9261 0.9261 0.2650
13 O 0.8033 0.8033 0.7336
14 O 0.1967 0.1967 0.2664
15 O 0.4479 0.4479 0.4964
16 O 0.5521 0.5521 0.5036

Summary:
For the formation enthalpy at 0 K, the calculation gives -160 kJ/mol of atoms. For the magnetization, the calculation gives 0.50 μB/f.u. Its space group is No. 12.

***

# 9
DFT (GGA+U) results for crystalline Li2V5Cr2O12 at its relaxed geometry.

a = 9.0964 Å, b = 5.0952 Å, c = 9.8678 Å
α = 77.36°, β = 90.00°, γ = 90.00°
Positions (direct):
1 Li 0.9207 0.4962 0.2584
2 Li 0.5805 0.7440 0.4936
3 Li 0.4207 0.5038 0.7416
4 Li 0.0805 0.2560 0.5064
5 V 0.9174 0.2467 0.9984
6 V 0.9337 0.7542 0.5046
7 V 0.7381 0.9872 0.2596
8 V 0.7459 0.5142 0.7402
9 V 0.5725 0.2504 0.0075
10 V 0.4337 0.2458 0.4954
11 V 0.2381 0.0128 0.7404
12 V 0.4174 0.7533 0.0016
13 V 0.2459 0.4858 0.2598
14 V 0.0725 0.7496 0.9925
15 Cr 0.7523 0.2464 0.5049
16 Cr 0.7427 0.7540 0.9957
17 Cr 0.2427 0.2460 0.0043
18 Cr 0.2523 0.7536 0.4951
19 O 0.8960 0.1068 0.3809
20 O 0.8975 0.8691 0.1112
21 O 0.7719 0.8602 0.6157
22 O 0.9058 0.4062 0.6108
23 O 0.7388 0.1498 0.8905
24 O 0.9004 0.6208 0.8863
25 O 0.7730 0.6336 0.3812
26 O 0.5957 0.1249 0.3959
27 O 0.5891 0.8746 0.1147
28 O 0.7543 0.3576 0.1162
29 O 0.5964 0.3800 0.6164
30 O 0.5865 0.6167 0.8842
31 O 0.3960 0.8932 0.6191
32 O 0.3975 0.1309 0.8888
33 O 0.2719 0.1398 0.3843
34 O 0.4058 0.5938 0.3892
35 O 0.2388 0.8502 0.1095
36 O 0.4004 0.3792 0.1137
37 O 0.2730 0.3664 0.6188
38 O 0.0957 0.8751 0.6041
39 O 0.0891 0.1254 0.8853
40 O 0.2543 0.6424 0.8838
41 O 0.0964 0.6200 0.3836
42 O 0.0865 0.3833 0.1158

Summary:
For the formation enthalpy at 0 K, the calculation gives -231 kJ/mol of atoms. For the magnetization, the calculation gives 15.00 μB/f.u. Its space group is No. 4.

***

# 10
DFT (GGA+U) results for crystalline Na3Mn2CuH10S4O17 at its relaxed geometry.

a = 7.7945 Å, b = 7.8799 Å, c = 14.5680 Å
α = 90.00°, β = 90.00°, γ = 100.90°
Positions (direct):
1 Na 0.1503 0.7839 0.7518
2 Na 0.8497 0.2161 0.2518
3 Na 0.4671 0.1926 0.4016
4 Na 0.5329 0.8074 0.9016
5 Na 0.5136 0.8026 0.5922
6 Na 0.4864 0.1974 0.0922
7 Mn 0.7639 0.3434 0.6139
8 Mn 0.2361 0.6566 0.1139
9 Mn 0.2353 0.6569 0.3853
10 Mn 0.7647 0.3431 0.8853
11 Cu 0.3055 0.2790 0.7497
12 Cu 0.6945 0.7210 0.2497
13 H 0.6922 0.5619 0.4744
14 H 0.3078 0.4381 0.9744
15 H 0.3082 0.4381 0.5256
16 H 0.6918 0.5619 0.0256
17 H 0.8643 0.1297 0.4815
18 H 0.1357 0.8703 0.9815
19 H 0.1357 0.8713 0.5181
20 H 0.8643 0.1287 0.0181
21 H 0.0457 0.1982 0.5353
22 H 0.9543 0.8018 0.0353
23 H 0.9541 0.8025 0.4643
24 H 0.0459 0.1975 0.9643
25 H 0.8078 0.4447 0.4295
26 H 0.1922 0.5553 0.9295
27 H 0.1914 0.5546 0.5703
28 H 0.8086 0.4454 0.0703
29 H 0.8833 0.0114 0.7475
30 H 0.1167 0.9886 0.2475
31 H 0.8113 0.8257 0.7072
32 H 0.1887 0.1743 0.2072
33 S 0.0518 0.3847 0.7497
34 S 0.9482 0.6153 0.2497
35 S 0.5125 0.5263 0.7494
36 S 0.4875 0.4737 0.2494
37 S 0.3494 0.1325 0.6205
38 S 0.6506 0.8675 0.1205
39 S 0.6505 0.8671 0.3801
40 S 0.3495 0.1329 0.8801
41 O 0.0354 0.4968 0.6654
42 O 0.9646 0.5032 0.1654
43 O 0.9644 0.5046 0.3344
44 O 0.0356 0.4954 0.8344
45 O 0.9175 0.1883 0.5379
46 O 0.0825 0.8117 0.0379
47 O 0.0819 0.8087 0.4629
48 O 0.9181 0.1913 0.9629
49 O 0.6347 0.5422 0.6654
50 O 0.3653 0.4578 0.1654
51 O 0.3729 0.4661 0.3350
52 O 0.6271 0.5339 0.8350
53 O 0.5453 0.1314 0.6068
54 O 0.4547 0.8686 0.1068
55 O 0.4547 0.8676 0.3945
56 O 0.5453 0.1324 0.8945
57 O 0.4416 0.6925 0.7495
58 O 0.5584 0.3075 0.2495
59 O 0.8743 0.2531 0.7495
60 O 0.1257 0.7469 0.2495
61 O 0.8907 0.8885 0.7527
62 O 0.1093 0.1115 0.2527
63 O 0.2884 0.2156 0.5345
64 O 0.7116 0.7844 0.0345
65 O 0.7123 0.7849 0.4663
66 O 0.2877 0.2151 0.9663
67 O 0.7142 0.4409 0.4760
68 O 0.2858 0.5591 0.9760
69 O 0.2858 0.5590 0.5242
70 O 0.7142 0.4410 0.0242
71 O 0.2637 0.9423 0.6182
72 O 0.7363 0.0577 0.1182
73 O 0.7354 0.0571 0.3818
74 O 0.2646 0.9429 0.8818

Summary:
For the formation enthalpy at 0 K, the calculation gives -157 kJ/mol of atoms. For the magnetization, the calculation gives 10.00 μB/f.u. Its space group is No. 4.

***

Per-record V, Å³/atom: 13.94; 14.13; 10.31; 11.77; 12.91; 10.50; 19.89; 16.76; 10.63; 11.87